# Li4Mn2Nb3Cr3O16 (PBE+U, relaxed)
data_Li4Mn2Nb3Cr3O16
_cell_length_a 10.525
_cell_length_b 6.142
_cell_length_c 10.049
_cell_angle_alpha 90.00
_cell_angle_beta 90.14
_cell_angle_gamma 90.00
_symmetry_space_group_name_H-M 'C 1 m 1'
_symmetry_Int_Tables_number 8
loop_
_symmetry_equiv_pos_as_xyz
'x,y,z'
'x,-y,z'
'x+1/2,y+1/2,z'
'x+1/2,-y+1/2,z'
loop_
_atom_site_label
_atom_site_type_symbol
_atom_site_fract_x
_atom_site_fract_y
_atom_site_fract_z
Li1 Li 0.000 0.000 0.000
Li2 Li 0.002 0.000 0.487
Li3 Li 0.173 0.500 0.118
Li4 Li 0.342 0.000 0.588
Mn1 Mn 0.181 0.500 0.475
Mn2 Mn 0.353 0.000 0.010
Nb1 Nb 0.097 0.252 0.776
Nb2 Nb 0.180 0.000 0.275
Cr1 Cr 0.343 0.500 0.776
Cr2 Cr 0.425 0.248 0.276
O1 O 0.009 0.000 0.178
O2 O 0.009 0.000 0.674
O3 O 0.023 0.500 0.667
O4 O 0.089 0.230 0.388
O5 O 0.168 0.000 0.887
O6 O 0.175 0.500 0.887
O7 O 0.249 0.270 0.664
O8 O 0.263 0.225 0.160
O9 O 0.341 0.000 0.387
O10 O 0.354 0.500 0.383
O11 O 0.435 0.267 0.883
O12 O 0.492 0.000 0.163
# Formation energy from the elements: -2.540 eV per atom
# Energy: -0.56489 Ry/atom
# Corrected total energy (MP2020 scheme): -471.05 eV for the cell shown